[1]
U11Se20 GGA-PBE relaxed; magnetic moment = 45.5 μB per cell; symmetry = P4nc, No. 104; energy relative to the lowest polymorph listed for this composition = 0.73 kJ/mol of atoms; DFT total energy = -7.422 eV per atom
1.0
-14.4602 4.4336 0.4383
-4.1160 -12.7249 -7.0768
-0.7565 -3.0536 5.9308
U Se
22 40
direct
0.5000 0.5000 0.1449
0.9062 0.7564 0.2510
0.4035 0.2531 0.2503
0.7469 0.4035 0.2503
0.2436 0.9062 0.2510
0.5965 0.7469 0.2503
0.0938 0.2436 0.2510
0.7564 0.0938 0.2510
0.2531 0.5965 0.2503
0.0000 0.5000 0.3548
0.5000 0.0000 0.3548
0.0000 0.0000 0.6449
0.7531 0.9035 0.7503
0.2564 0.4062 0.7510
0.7436 0.5938 0.7510
0.5938 0.2564 0.7510
0.9035 0.2469 0.7503
0.2469 0.0965 0.7503
0.4062 0.7436 0.7510
0.0965 0.7531 0.7503
0.0000 0.5000 0.8548
0.5000 0.0000 0.8548
0.2484 0.2503 0.0028
0.7497 0.2484 0.0028
0.2503 0.7516 0.0028
0.5598 0.1486 0.1113
0.6489 0.9406 0.1121
0.0594 0.6489 0.1121
0.8514 0.5598 0.1113
0.1486 0.4402 0.1113
0.9406 0.3511 0.1121
0.3511 0.0594 0.1121
0.4402 0.8514 0.1113
0.6484 0.5605 0.3845
0.9386 0.1490 0.3899
0.1490 0.0614 0.3899
0.4395 0.6484 0.3845
0.8510 0.9386 0.3899
0.3516 0.4395 0.3845
0.5605 0.3516 0.3845
0.0614 0.8510 0.3899
0.7503 0.7484 0.5028
0.2497 0.2516 0.5028
0.7484 0.2497 0.5028
0.2516 0.7503 0.5028
0.9402 0.6486 0.6113
0.4406 0.1489 0.6121
0.6486 0.0598 0.6113
0.5594 0.8511 0.6121
0.8511 0.4406 0.6121
0.1489 0.5594 0.6121
0.3514 0.9402 0.6113
0.0598 0.3514 0.6113
0.5614 0.6490 0.8899
0.0605 0.1484 0.8845
0.6490 0.4386 0.8899
0.8516 0.0605 0.8845
0.9395 0.8516 0.8845
0.3510 0.5614 0.8899
0.1484 0.9395 0.8845
0.4386 0.3510 0.8899
0.7516 0.7497 0.0028

[2]
K2PAu GGA-PBE relaxed; symmetry = Cmcm, No. 63; DFT total energy = -3.213 eV per atom
1.0
3.7066 -4.9497 0.0000
3.7066 4.9497 0.0000
0.0000 0.0000 6.3564
K P Au
4 2 2
direct
0.3189 0.9716 0.7500
0.6811 0.0284 0.2500
0.0284 0.6811 0.2500
0.9716 0.3189 0.7500
0.2530 0.2530 0.2500
0.7470 0.7470 0.7500
0.5000 0.5000 0.5000
0.5000 0.5000 0.0000

Respective formation energy values: -33.77; -11.21 kcal/mol of atoms.